{
  "formula": "TiSn4O10",
  "functional": "GGA-PBE",
  "state": "optimized geometry",
  "cell": [[-3.144, -3.619, -0.182], [4.320, -3.720, -0.831], [3.113, -3.361, 12.756]],
  "species": ["O", "O", "O", "O", "O", "O", "O", "O", "O", "O", "O", "O", "O", "O", "O", "O", "O", "O", "O", "O", "Sn", "Sn", "Sn", "Sn", "Sn", "Sn", "Sn", "Sn", "Ti", "Ti"],
  "fractional_positions": [[0.190, 0.823, 0.934], [0.190, 0.025, 0.332], [0.810, 0.596, 0.858], [0.694, 0.883, 0.462], [0.810, 0.975, 0.668], [0.807, 0.383, 0.461], [0.190, 0.404, 0.142], [0.310, 0.321, 0.941], [0.690, 0.679, 0.059], [0.193, 0.617, 0.539], [0.190, 0.201, 0.744], [0.706, 0.284, 0.259], [0.295, 0.917, 0.138], [0.705, 0.083, 0.862], [0.310, 0.521, 0.339], [0.294, 0.716, 0.741], [0.690, 0.479, 0.661], [0.810, 0.799, 0.256], [0.306, 0.117, 0.538], [0.810, 0.177, 0.066], [0.502, 0.199, 0.397], [0.500, 0.399, 0.801], [0.000, 0.703, 0.398], [0.000, 0.297, 0.602], [0.500, 0.601, 0.199], [0.000, 0.500, 0.000], [0.498, 0.801, 0.603], [0.500, 0.000, 0.000], [0.000, 0.101, 0.198], [0.000, 0.899, 0.802]],
  "magmom_total_mub_per_fu": 0.00,
  "relative_energy_mev_per_atom": 0,
  "sg": "P-1"
}

***

{
  "formula": "TbTmIr2",
  "functional": "GGA-PBE",
  "state": "optimized geometry",
  "cell": [[0.000, 3.415, 3.415], [3.415, 0.000, 3.415], [3.415, 3.415, 0.000]],
  "species": ["Ir", "Ir", "Tb", "Tm"],
  "fractional_positions": [[0.250, 0.250, 0.250], [0.750, 0.750, 0.750], [0.500, 0.500, 0.500], [0.000, 0.000, 0.000]],
  "sg": "Fm-3m"
}

***

{
  "formula": "CeTh3O8",
  "functional": "GGA-PBE",
  "state": "optimized geometry",
  "cell": [[12.925, -1.976, 0.000], [12.925, 1.976, 0.000], [12.623, 0.000, 3.409]],
  "species": ["Th", "Th", "Th", "O", "O", "O", "O", "O", "O", "O", "O", "Ce"],
  "fractional_positions": [[0.500, 0.500, 0.500], [0.749, 0.749, 0.749], [0.251, 0.251, 0.251], [0.314, 0.314, 0.314], [0.686, 0.686, 0.686], [0.188, 0.188, 0.188], [0.563, 0.563, 0.563], [0.812, 0.812, 0.812], [0.437, 0.437, 0.437], [0.939, 0.939, 0.939], [0.061, 0.061, 0.061], [0.000, 0.000, 0.000]],
  "sg": "R-3m"
}

***

{
  "formula": "Cu4NiGe2S7",
  "functional": "GGA-PBE",
  "state": "optimized geometry",
  "cell": [[-3.703, 3.555, -1.337], [1.959, 0.381, 6.107], [5.883, 4.853, -3.394]],
  "species": ["Ni", "Ge", "Ge", "S", "S", "S", "S", "S", "S", "S", "Cu", "Cu", "Cu", "Cu"],
  "fractional_positions": [[0.000, 0.000, 0.000], [0.582, 0.150, 0.721], [0.432, 0.850, 0.279], [0.684, 0.862, 0.792], [0.521, 0.562, 0.354], [0.248, 0.000, 0.500], [0.379, 0.282, 0.927], [0.822, 0.138, 0.208], [0.959, 0.438, 0.646], [0.097, 0.718, 0.073], [0.839, 0.717, 0.568], [0.705, 0.420, 0.139], [0.122, 0.283, 0.432], [0.285, 0.580, 0.861]],
  "magmom_total_mub_per_fu": 1.64,
  "sg": "C2"
}

***

{
  "formula": "PrTlP2S7",
  "functional": "GGA-PBE",
  "state": "optimized geometry",
  "cell": [[-2.993, 4.892, -11.134], [4.447, -6.799, -4.182], [-8.277, -5.421, -0.157]],
  "species": ["Tl", "Tl", "Tl", "Tl", "S", "S", "S", "S", "S", "S", "S", "S", "S", "S", "S", "S", "S", "S", "S", "S", "S", "S", "S", "S", "S", "S", "S", "S", "S", "S", "S", "S", "P", "P", "P", "P", "P", "P", "P", "P", "Pr", "Pr", "Pr", "Pr"],
  "fractional_positions": [[0.811, 0.372, 0.603], [0.311, 0.128, 0.397], [0.189, 0.628, 0.397], [0.689, 0.872, 0.603], [0.446, 0.579, 0.252], [0.664, 0.431, 0.091], [0.944, 0.790, 0.369], [0.522, 0.929, 0.337], [0.442, 0.179, 0.978], [0.295, 0.390, 0.628], [0.554, 0.421, 0.748], [0.942, 0.321, 0.022], [0.807, 0.647, 0.851], [0.556, 0.290, 0.369], [0.022, 0.571, 0.663], [0.836, 0.931, 0.091], [0.336, 0.569, 0.909], [0.056, 0.210, 0.631], [0.444, 0.710, 0.631], [0.978, 0.429, 0.337], [0.795, 0.110, 0.372], [0.193, 0.353, 0.149], [0.164, 0.069, 0.909], [0.946, 0.921, 0.748], [0.054, 0.079, 0.252], [0.478, 0.071, 0.663], [0.058, 0.679, 0.978], [0.705, 0.610, 0.372], [0.558, 0.821, 0.022], [0.205, 0.890, 0.628], [0.307, 0.853, 0.149], [0.693, 0.147, 0.851], [0.600, 0.478, 0.276], [0.463, 0.802, 0.188], [0.100, 0.022, 0.724], [0.400, 0.522, 0.724], [0.537, 0.198, 0.812], [0.963, 0.698, 0.812], [0.900, 0.978, 0.276], [0.037, 0.302, 0.188], [0.357, 0.892, 0.856], [0.143, 0.392, 0.856], [0.857, 0.608, 0.144], [0.643, 0.108, 0.144]],
  "magmom_total_mub_per_fu": 0.00,
  "sg": "P2_1/c"
}

***

{
  "formula": "NdBrO2",
  "functional": "GGA-PBE",
  "state": "optimized geometry",
  "cell": [[-4.206, -0.125, -1.313], [1.047, -4.149, -2.959], [-1.028, -5.443, 3.812]],
  "species": ["Nd", "Nd", "O", "O", "O", "O", "Br", "Br"],
  "fractional_positions": [[0.250, 0.197, 0.654], [0.750, 0.803, 0.346], [0.750, 0.252, 0.454], [0.250, 0.617, 0.374], [0.750, 0.383, 0.626], [0.250, 0.748, 0.546], [0.750, 0.781, 0.903], [0.250, 0.219, 0.097]],
  "magmom_total_mub_per_fu": 0.00,
  "sg": "P2_1/m"
}

***

Number 1: calculated formation energy -2.36 eV/atom. Number 2: calculated formation energy -0.86 eV/atom. Number 3: calculated formation energy -4.25 eV/atom. Number 4: calculated formation energy -0.57 eV/atom. Number 5: calculated formation energy -1.07 eV/atom. Number 6: calculated formation energy -2.21 eV/atom.